# 1
First-principles (PBE) data for crystalline Hg3Ge at its relaxed geometry, as listed in the Materials Project.

Cell: 6.470 6.470 5.247 Å, 90.00 90.00 120.00°
Positions (direct):
Hg (0.169, 0.337, 0.250)
Hg (0.169, 0.831, 0.250)
Hg (0.663, 0.831, 0.250)
Hg (0.831, 0.663, 0.750)
Ge (0.333, 0.667, 0.750)
Ge (0.667, 0.333, 0.250)
Hg (0.337, 0.169, 0.750)
Hg (0.831, 0.169, 0.750)

***

# 2
First-principles (PBE) data for crystalline Mg16Al12Br at its relaxed geometry, as listed in the Materials Project.

Cell: 9.032 9.032 9.082 Å, 71.57 71.57 107.59°
Positions (direct):
Al (0.157, 0.346, 0.024)
Al (0.831, 0.641, 0.344)
Mg (0.692, 0.006, 0.593)
Mg (0.395, 0.669, 0.007)
Al (0.639, 0.639, 0.159)
Mg (0.002, 0.002, 0.997)
Mg (0.715, 0.323, 0.677)
Al (0.008, 0.196, 0.632)
Al (0.181, 0.808, 0.185)
Al (0.346, 0.157, 0.024)
Br (0.581, 0.581, 0.749)
Mg (0.998, 0.998, 0.343)
Mg (0.323, 0.715, 0.677)
Mg (0.006, 0.692, 0.593)
Mg (0.311, 0.311, 0.293)
Mg (0.294, 0.599, 0.400)
Al (0.196, 0.008, 0.632)
Al (0.641, 0.831, 0.344)
Mg (0.403, 0.998, 0.319)
Mg (0.652, 0.006, 0.988)
Mg (0.669, 0.395, 0.007)
Al (0.841, 0.841, 0.811)
Mg (0.006, 0.652, 0.988)
Mg (0.998, 0.403, 0.319)
Al (0.808, 0.181, 0.185)
Mg (0.335, 0.335, 0.680)
Al (0.377, 0.996, 0.816)
Al (0.996, 0.377, 0.816)
Mg (0.599, 0.294, 0.400)

## Properties
* distance to the lowest polymorph of the same formula: 0 meV/atom

***

Here are the calculated calculated formation energy numbers, same order: 0.25, -0.03 (eV per atom).
Here are the calculated E numbers, same order: -1.129, -2.500 (eV/atom).